A plane-wave DFT calculation with GGA+U was carried out for an optimized crystal structure of Ba2MgMnWO6.

Values from the calculation:
- SG: P-1, No. 2
- Crystal system: triclinic
- Calculated formation energy: -2379 meV per atom

The structure in POSCAR format:
```
Ba2MgMnWO6
1.0
-0.4010 -4.7195 4.5338
4.7102 -1.9953 4.0689
-0.4809 1.7414 5.6644
W Ba O Mg Mn
1 2 6 1 1
direct
0.5000 0.5000 0.5000 W
0.8102 0.8109 0.6870 Ba
0.1898 0.1891 0.3130 Ba
0.2558 0.7443 0.2383 O
0.2609 0.7410 0.7613 O
0.7443 0.2556 0.7618 O
0.2936 0.2957 0.7040 O
0.7390 0.2591 0.2387 O
0.7064 0.7043 0.2960 O
0.5000 0.4999 0.0000 Mg
0.9999 0.0001 0.0000 Mn
```

A plane-wave DFT calculation with GGA+U was carried out for an optimized crystal structure of La2WO6.

Values from the calculation:
- SG: Pbca, No. 61
- Crystal system: orthorhombic
- Calculated formation energy: -3279 meV per atom

The structure in POSCAR format:
```
La2WO6
1.0
-4.2541 -3.4216 1.9804
7.6342 -7.2293 3.9090
0.2427 8.1818 14.6574
O La W
48 16 8
direct
0.6516 0.2656 0.1655 O
0.9199 0.7115 0.4764 O
0.0902 0.9987 0.1085 O
0.8301 0.5721 0.2700 O
0.1303 0.4531 0.0777 O
0.8289 0.2652 0.8519 O
0.0801 0.7885 0.9764 O
0.3697 0.9531 0.9223 O
0.8301 0.0721 0.2300 O
0.1711 0.7348 0.1481 O
0.4098 0.4987 0.8915 O
0.1699 0.9279 0.7700 O
0.8484 0.2656 0.6655 O
0.6699 0.5721 0.7700 O
0.8484 0.7656 0.8345 O
0.9098 0.0013 0.8915 O
0.8289 0.7652 0.6481 O
0.1711 0.2348 0.3519 O
0.0801 0.2885 0.5236 O
0.1699 0.4279 0.7300 O
0.3301 0.9279 0.2700 O
0.4199 0.7885 0.4764 O
0.9098 0.5013 0.6085 O
0.6303 0.0469 0.0777 O
0.1516 0.7344 0.3345 O
0.6699 0.0721 0.7300 O
0.5902 0.5013 0.1085 O
0.9199 0.2115 0.0236 O
0.3301 0.4279 0.2300 O
0.6711 0.2652 0.3519 O
0.3697 0.4531 0.5777 O
0.5902 0.0013 0.3915 O
0.1303 0.9531 0.4223 O
0.0902 0.4987 0.3915 O
0.3484 0.7344 0.8345 O
0.8697 0.0469 0.5777 O
0.3289 0.2348 0.8519 O
0.8697 0.5469 0.9223 O
0.3484 0.2344 0.6655 O
0.6303 0.5469 0.4223 O
0.3289 0.7348 0.6481 O
0.4199 0.2885 0.0236 O
0.5801 0.2115 0.5236 O
0.6516 0.7656 0.3345 O
0.5801 0.7115 0.9764 O
0.6711 0.7652 0.1481 O
0.1516 0.2344 0.1655 O
0.4098 0.9987 0.6085 O
0.1003 0.8617 0.5621 La
0.3997 0.8617 0.0621 La
0.4366 0.6393 0.2333 La
0.3997 0.3617 0.4379 La
0.8997 0.1383 0.4379 La
0.5634 0.3607 0.7667 La
0.6003 0.6383 0.5621 La
0.5634 0.8607 0.7333 La
0.8997 0.6383 0.0621 La
0.0634 0.1393 0.7667 La
0.4366 0.1393 0.2667 La
0.1003 0.3617 0.9379 La
0.6003 0.1383 0.9379 La
0.0634 0.6393 0.7333 La
0.9366 0.8607 0.2333 La
0.9366 0.3607 0.2667 La
0.6077 0.1266 0.6204 W
0.1077 0.8734 0.8796 W
0.3923 0.8734 0.3796 W
0.6077 0.6266 0.8796 W
0.1077 0.3734 0.6204 W
0.8923 0.6266 0.3796 W
0.3923 0.3734 0.1204 W
0.8923 0.1266 0.1204 W
```

A plane-wave DFT calculation with GGA+U was carried out for an optimized crystal structure of MgMn2O4.

Values from the calculation:
- SG: Pnma, No. 62
- Crystal system: orthorhombic
- Calculated formation energy: -2207 meV per atom

The structure in POSCAR format:
```
MgMn2O4
1.0
3.0056 0.0000 0.0000
0.0000 9.0388 0.0000
0.0000 0.0000 10.4814
O Mn Mg
16 8 4
direct
0.7500 0.1197 0.9659 O
0.2500 0.2802 0.1841 O
0.7500 0.6197 0.5341 O
0.2500 0.3803 0.4659 O
0.7500 0.7198 0.8159 O
0.7500 0.5204 0.2820 O
0.7500 0.9016 0.5722 O
0.7500 0.4016 0.9278 O
0.2500 0.7802 0.3159 O
0.7500 0.2198 0.6841 O
0.2500 0.0984 0.4278 O
0.2500 0.5984 0.0722 O
0.2500 0.9796 0.7820 O
0.2500 0.4796 0.7180 O
0.2500 0.8803 0.0341 O
0.7500 0.0204 0.2180 O
0.2500 0.5657 0.8853 Mn
0.7500 0.9343 0.3853 Mn
0.7500 0.4343 0.1147 Mn
0.7500 0.9179 0.8944 Mn
0.2500 0.5821 0.3944 Mn
0.7500 0.4179 0.6056 Mn
0.2500 0.0821 0.1056 Mn
0.2500 0.0657 0.6147 Mn
0.2500 0.7468 0.6544 Mg
0.7500 0.2532 0.3456 Mg
0.2500 0.2468 0.8456 Mg
0.7500 0.7532 0.1544 Mg
```

A plane-wave DFT calculation with GGA+U was carried out for an optimized crystal structure of Fe3P2O16.

Values from the calculation:
- SG: P-1, No. 2
- Crystal system: triclinic
- Calculated formation energy: -1126 meV per atom

The structure in POSCAR format:
```
Fe3P2O16
1.0
-2.6662 -1.7499 -3.2090
5.6580 -2.1169 -5.1800
2.1192 -9.6169 0.4219
O Fe P
16 3 2
direct
0.8052 0.0294 0.3357 O
0.6274 0.5428 0.2218 O
0.1388 0.8372 0.2015 O
0.8750 0.7307 0.5999 O
0.1250 0.2693 0.4001 O
0.6657 0.0106 0.1078 O
0.5302 0.4756 0.8687 O
0.3343 0.9894 0.8922 O
0.8509 0.2718 0.4746 O
0.8612 0.1628 0.7985 O
0.1491 0.7282 0.5254 O
0.3726 0.4572 0.7782 O
0.4698 0.5244 0.1313 O
0.1948 0.9706 0.6643 O
0.1054 0.1911 0.0775 O
0.8946 0.8089 0.9225 O
0.5191 0.7966 0.0713 Fe
0.4809 0.2034 0.9287 Fe
0.0000 0.0000 0.5000 Fe
0.0604 0.9824 0.8195 P
0.9396 0.0176 0.1805 P
```

A plane-wave DFT calculation with GGA+U was carried out for an optimized crystal structure of Li4Ti3Mn3Sb2O16.

Values from the calculation:
- SG: Cm, No. 8
- Crystal system: monoclinic
- Calculated formation energy: -2527 meV per atom

The structure in POSCAR format:
```
Li4Ti3Mn3Sb2O16
1.0
3.0029 5.3209 0.0000
-3.0029 5.3209 0.0000
0.0000 0.3066 9.9036
Mn O Sb Li Ti
3 16 2 4 3
direct
0.6624 0.1722 0.2842 Mn
0.8321 0.8321 0.7935 Mn
0.1722 0.6624 0.2842 Mn
0.5200 0.5200 0.6705 O
0.8540 0.3356 0.3946 O
0.6496 0.6496 0.8944 O
0.0315 0.4627 0.1477 O
0.0115 0.0115 0.7002 O
0.9702 0.4929 0.6651 O
0.1740 0.6651 0.9099 O
0.3253 0.3253 0.3882 O
0.6651 0.1740 0.9099 O
0.4627 0.0315 0.1477 O
0.1658 0.1658 0.9031 O
0.3356 0.8540 0.3946 O
0.8489 0.8489 0.4057 O
0.4736 0.4736 0.1498 O
0.0029 0.0029 0.1966 O
0.4929 0.9702 0.6651 O
0.6774 0.6774 0.5039 Sb
0.3322 0.3322 0.0126 Sb
0.3344 0.3344 0.6022 Li
0.6559 0.6559 0.0960 Li
0.0090 0.0090 0.5094 Li
0.9953 0.9953 0.0119 Li
0.1708 0.1708 0.2835 Ti
0.8342 0.3470 0.7840 Ti
0.3470 0.8342 0.7840 Ti
```

A plane-wave DFT calculation with GGA+U was carried out for an optimized crystal structure of NaCr2FeO8.

Values from the calculation:
- SG: C2/m, No. 12
- Crystal system: monoclinic
- Calculated formation energy: -1740 meV per atom

The structure in POSCAR format:
```
NaCr2FeO8
1.0
0.6933 -3.0202 3.9907
4.7186 0.0131 1.8062
-1.5023 5.3029 4.5950
O Cr Na Fe
8 2 1 1
direct
0.2268 0.2268 0.9549 O
0.2931 0.2931 0.5856 O
0.7738 0.2630 0.1950 O
0.7069 0.7069 0.4144 O
0.7732 0.7732 0.0451 O
0.2630 0.7738 0.1950 O
0.7370 0.2262 0.8050 O
0.2262 0.7370 0.8050 O
0.3682 0.3682 0.7885 Cr
0.6318 0.6318 0.2115 Cr
0.0000 0.0000 0.5000 Na
0.0000 0.0000 0.0000 Fe
```

A plane-wave DFT calculation with GGA+U was carried out for an optimized crystal structure of SrCrO3.

Values from the calculation:
- SG: P1, No. 1
- Crystal system: triclinic
- Calculated formation energy: -2580 meV per atom

The structure in POSCAR format:
```
SrCrO3
1.0
5.5437 0.0000 0.0000
-2.7675 4.8130 0.0000
-0.0054 -0.0523 32.2581
Cr O Sr
14 42 14
direct
0.3390 0.6774 0.4341 Cr
0.6763 0.3370 0.9339 Cr
0.6758 0.3389 0.6454 Cr
0.0022 0.0038 0.2894 Cr
0.0054 0.0067 0.4999 Cr
0.0016 0.0033 0.2107 Cr
0.6753 0.3389 0.8544 Cr
0.0036 0.0050 0.0001 Cr
0.0047 0.0046 0.7107 Cr
0.3348 0.6744 0.0660 Cr
0.0038 0.0047 0.7894 Cr
0.6767 0.3379 0.5659 Cr
0.3353 0.6726 0.1456 Cr
0.3383 0.6750 0.3546 Cr
0.8273 0.6670 0.5344 O
0.6674 0.8294 0.4658 O
0.1512 0.8450 0.7503 O
0.0278 0.5128 0.1066 O
0.3169 0.1579 0.5344 O
0.1624 0.8248 0.4654 O
0.4926 0.9835 0.3945 O
0.1644 0.8296 0.0347 O
0.8252 0.1603 0.8221 O
0.4843 0.5132 0.1062 O
0.5137 0.4842 0.8939 O
0.8303 0.6669 0.9655 O
0.4859 0.5146 0.3938 O
0.6712 0.8332 0.0340 O
0.1627 0.3282 0.0340 O
0.8272 0.6635 0.6773 O
0.3192 0.1584 0.9657 O
0.5151 0.0308 0.6059 O
0.5139 0.4836 0.6062 O
0.1644 0.3276 0.1789 O
0.5152 0.0309 0.8940 O
0.8269 0.1637 0.9653 O
0.4903 0.9803 0.1056 O
0.6639 0.8268 0.1774 O
0.6951 0.8468 0.7498 O
0.3282 0.1619 0.6786 O
0.1588 0.3214 0.4660 O
0.0309 0.5143 0.3937 O
0.1628 0.8270 0.1776 O
0.1632 0.8269 0.3227 O
0.3081 0.1513 0.2502 O
0.1647 0.3276 0.3214 O
0.1543 0.3103 0.7497 O
0.8473 0.6942 0.2500 O
0.8243 0.1632 0.5345 O
0.6648 0.8270 0.3225 O
0.8272 0.1616 0.6774 O
0.8440 0.1519 0.2500 O
0.9847 0.4927 0.8940 O
0.8247 0.6610 0.8226 O
0.9850 0.4923 0.6057 O
0.3267 0.1603 0.8215 O
0.3330 0.6665 0.5401 Sr
0.0055 0.0029 0.6057 Sr
0.0042 0.0053 0.3941 Sr
0.0049 0.0025 0.8945 Sr
0.0008 0.0027 0.1057 Sr
0.6679 0.3340 0.4598 Sr
0.3344 0.6680 0.8235 Sr
0.3350 0.6674 0.6766 Sr
0.6633 0.3324 0.7500 Sr
0.6665 0.3329 0.0398 Sr
0.3328 0.6673 0.9602 Sr
0.6676 0.3345 0.3232 Sr
0.6664 0.3334 0.1768 Sr
0.3315 0.6626 0.2501 Sr
```

A plane-wave DFT calculation with GGA+U was carried out for an optimized crystal structure of LiV2P3O12.

Values from the calculation:
- SG: P2/c, No. 13
- Crystal system: monoclinic
- Calculated formation energy: -2655 meV per atom

The structure in POSCAR format:
```
LiV2P3O12
1.0
-1.1560 -3.8959 7.5629
-3.3882 -6.7259 -3.9826
10.9483 -5.0937 -0.9504
O P V Li
48 12 8 4
direct
0.0678 0.7457 0.4859 O
0.5721 0.2435 0.9898 O
0.8117 0.3806 0.3148 O
0.8231 0.1466 0.9074 O
0.9095 0.2821 0.7156 O
0.0905 0.2821 0.2156 O
0.6065 0.5779 0.3376 O
0.3935 0.4221 0.6624 O
0.9095 0.7179 0.7844 O
0.9322 0.2543 0.5141 O
0.4279 0.2435 0.4898 O
0.1883 0.3806 0.8148 O
0.1032 0.0762 0.8393 O
0.4279 0.7565 0.0102 O
0.8978 0.4706 0.9055 O
0.5904 0.7697 0.7122 O
0.1022 0.5294 0.0945 O
0.9322 0.7457 0.9859 O
0.5721 0.7565 0.5102 O
0.1883 0.6194 0.6852 O
0.8968 0.9238 0.1607 O
0.6759 0.6535 0.9085 O
0.0678 0.2543 0.0141 O
0.8117 0.6194 0.1852 O
0.5925 0.0256 0.6025 O
0.6928 0.1239 0.1901 O
0.4075 0.9744 0.3975 O
0.8968 0.0762 0.3393 O
0.4096 0.2303 0.2878 O
0.5925 0.9744 0.8975 O
0.1022 0.4706 0.4055 O
0.4075 0.0256 0.1025 O
0.3072 0.1239 0.6901 O
0.5904 0.2303 0.7878 O
0.1032 0.9238 0.6607 O
0.6065 0.4221 0.1624 O
0.6928 0.8761 0.3099 O
0.8231 0.8534 0.5926 O
0.6759 0.3465 0.5915 O
0.4096 0.7697 0.2122 O
0.1769 0.8534 0.0926 O
0.8978 0.5294 0.5945 O
0.3935 0.5779 0.8376 O
0.1769 0.1466 0.4074 O
0.3241 0.3465 0.0915 O
0.3072 0.8761 0.8099 O
0.0905 0.7179 0.2844 O
0.3241 0.6535 0.4085 O
0.7114 0.5000 0.2500 P
0.7931 0.0000 0.2500 P
0.6436 0.8525 0.6048 P
0.3564 0.8525 0.1048 P
0.2069 0.0000 0.7500 P
0.2886 0.5000 0.7500 P
0.1454 0.3542 0.1051 P
0.8546 0.3542 0.6051 P
0.3564 0.1475 0.3952 P
0.1454 0.6458 0.3949 P
0.6436 0.1475 0.8952 P
0.8546 0.6458 0.8949 P
0.9984 0.7186 0.6401 V
0.4983 0.7811 0.8557 V
0.5017 0.7811 0.3557 V
0.4983 0.2189 0.6443 V
0.5017 0.2189 0.1443 V
0.0016 0.7186 0.1401 V
0.0016 0.2814 0.3599 V
0.9984 0.2814 0.8599 V
0.0000 0.0000 0.5000 Li
0.5000 0.5000 0.5000 Li
0.5000 0.5000 0.0000 Li
0.0000 0.0000 0.0000 Li
```

Among the records above, which one has the highest calculated formation energy? Fe3P2O16